Entry 1:
The following is a DFT calculation (GGA-PBE) of a relaxed TbDy3Fe8 crystal.

POSCAR file:
```
TbDy3Fe8
1.0
-3.6439 -3.6439 0.0000
0.0000 3.6439 -3.6439
3.6458 -3.6458 -7.2897
Tb Dy Fe
1 3 8
Direct
0.8750 0.7500 0.3751
0.3749 0.7499 0.8752
0.0000 0.0001 0.9999
0.5000 0.0001 0.4999
0.4375 0.3751 0.1873
0.9375 0.3748 0.6877
0.4375 0.8751 0.1873
0.9375 0.8751 0.6877
0.1874 0.3749 0.4377
0.6875 0.3750 0.9374
0.9376 0.3751 0.1873
0.4372 0.3748 0.6877
```

## Properties
- M_tot (μB/atom) = 1.195
- E_tot (eV per atom) = -7.2579

Entry 2:
The following is a DFT calculation (GGA-PBE) of a relaxed Dy6FeTe2 crystal.

POSCAR file:
```
Dy6FeTe2
1.0
5.7203 3.4743 4.9571
-6.6839 4.3774 -2.3517
-1.9765 -1.3022 3.1935
Dy Fe Te
6 1 2
Direct
0.6029 0.0000 0.5000
0.3971 0.3971 0.5000
0.0000 0.6029 0.5000
0.0000 0.2355 0.0000
0.7645 0.7645 0.0000
0.2355 0.0000 0.0000
0.0000 0.0000 0.5000
0.3333 0.6667 0.0000
0.6667 0.3333 0.0000
```

## Properties
- E_tot (eV per atom) = -5.3211

Entry 3:
The following is a DFT calculation (GGA-PBE) of a relaxed DyV2Fe10 crystal.

POSCAR file:
```
DyV2Fe10
1.0
-1.2020 0.9762 4.4187
5.1075 1.7316 3.4874
-0.2544 5.2382 -3.7071
Dy V Fe
1 2 10
Direct
0.0000 0.0000 0.0000
0.0000 0.3585 0.3585
0.0000 0.6415 0.6415
0.5000 0.0000 0.5000
0.0000 0.0000 0.5000
0.5000 0.5000 0.0000
0.0000 0.5000 0.0000
0.7250 0.7750 0.2250
0.2750 0.2250 0.7750
0.5000 0.7726 0.7726
0.5000 0.2274 0.2274
0.6408 0.3592 0.6408
0.3592 0.6408 0.3592
```

## Properties
- M_tot (μB/atom) = 1.301
- E_tot (eV per atom) = -8.3385

Entry 4:
The following is a DFT calculation (GGA-PBE) of a relaxed DyYFe4 crystal.

POSCAR file:
```
DyYFe4
1.0
2.9858 -3.5705 -2.2278
-1.6533 -4.8732 -0.3815
-1.2905 -1.9335 -4.6068
Dy Y Fe
1 1 4
Direct
0.2500 0.2500 0.2500
0.0000 0.0000 0.0000
0.6248 0.6248 0.1255
0.6248 0.1255 0.6248
0.1255 0.6248 0.6248
0.6248 0.6248 0.6248
```

## Properties
- E_tot (eV per atom) = -7.3649

Entry 5:
The following is a DFT calculation (GGA-PBE) of a relaxed Dy5Ga3 crystal.

POSCAR file:
```
Dy5Ga3
1.0
-3.8175 3.8175 7.1030
3.8175 -3.8175 7.1030
3.8175 3.8175 -7.1030
Dy Ga
10 6
Direct
0.5000 0.5000 0.0000
0.0000 0.0000 0.0000
0.3173 0.8173 0.8402
0.8173 0.9772 0.5000
0.4772 0.3173 0.5000
0.1827 0.0228 0.5000
0.5228 0.6827 0.5000
0.0228 0.5228 0.8402
0.6827 0.1827 0.1598
0.9772 0.4772 0.1598
0.7500 0.7500 0.0000
0.2500 0.2500 0.0000
0.3778 0.8778 0.2557
0.8778 0.6222 0.5000
0.1222 0.3778 0.5000
0.6222 0.1222 0.7443
```

## Properties
- E_tot (eV per atom) = -4.4983

Entry 6:
The following is a DFT calculation (GGA-PBE) of a relaxed Dy3Ga2 crystal.

POSCAR file:
```
Dy3Ga2
1.0
-5.8194 5.8194 7.4729
5.8194 -5.8194 7.4729
5.8194 5.8194 -7.4729
Dy Ga
24 16
Direct
0.1466 0.6466 0.5000
0.6466 0.1466 0.5000
0.8534 0.3534 0.5000
0.3534 0.8534 0.5000
0.6684 0.1684 0.8367
0.3316 0.8316 0.1633
0.1684 0.3316 0.5000
0.8316 0.6684 0.5000
0.0670 0.9314 0.2708
0.6607 0.7963 0.7292
0.5670 0.2963 0.1356
0.1607 0.4314 0.8644
0.7963 0.0670 0.1356
0.9314 0.6607 0.8644
0.4314 0.5670 0.2708
0.2963 0.1607 0.7292
0.9330 0.0686 0.7292
0.3393 0.2037 0.2708
0.4330 0.7037 0.8644
0.8393 0.5686 0.1356
0.2037 0.9330 0.8644
0.0686 0.3393 0.1356
0.5686 0.4330 0.7292
0.7037 0.8393 0.2708
0.7500 0.7500 0.0000
0.2500 0.2500 0.0000
0.0000 0.0000 0.0000
0.5000 0.5000 0.0000
0.1172 0.6172 0.7344
0.8828 0.3828 0.2656
0.6172 0.8828 0.5000
0.3828 0.1172 0.5000
0.8785 0.3785 0.8554
0.5231 0.0231 0.1446
0.3785 0.5231 0.5000
0.0231 0.8785 0.5000
0.1215 0.6215 0.1446
0.4769 0.9769 0.8554
0.6215 0.4769 0.5000
0.9769 0.1215 0.5000
```

## Properties
- E_tot (eV per atom) = -4.5126

Please write out number 3 again, unchanged.
The following is a DFT calculation (GGA-PBE) of a relaxed DyV2Fe10 crystal.

POSCAR file:
```
DyV2Fe10
1.0
-1.2020 0.9762 4.4187
5.1075 1.7316 3.4874
-0.2544 5.2382 -3.7071
Dy V Fe
1 2 10
Direct
0.0000 0.0000 0.0000
0.0000 0.3585 0.3585
0.0000 0.6415 0.6415
0.5000 0.0000 0.5000
0.0000 0.0000 0.5000
0.5000 0.5000 0.0000
0.0000 0.5000 0.0000
0.7250 0.7750 0.2250
0.2750 0.2250 0.7750
0.5000 0.7726 0.7726
0.5000 0.2274 0.2274
0.6408 0.3592 0.6408
0.3592 0.6408 0.3592
```

## Properties
- M_tot (μB/atom) = 1.301
- E_tot (eV per atom) = -8.3385

Which of these has the highest E_tot? Dy5Ga3

E_tot of number 3 (DyV2Fe10)? -8.3385 eV per atom